(1)
! Nd2Pd2O5 r²SCAN optimized geometry; values from VASP
! Crystal system: tetragonal
! Total energy in eV/atom: -17.342
! Symmetry: P4_2/m, No. 84
! Energy relative to the elements in meV/atom: -2385
&SYSTEM
  ibrav = 0, nat = 18, ntyp = 3
/
ATOMIC_SPECIES
Nd 144.24 Nd.upf
Pd 106.42 Pd.upf
O 16.00 O.upf
CELL_PARAMETERS angstrom
-6.527 -0.618 0.711
0.940 -3.900 5.234
-0.059 4.467 3.339
ATOMIC_POSITIONS crystal
Nd 0.107 0.261 0.000
Nd 0.893 0.739 0.000
Nd 0.261 0.893 0.500
Nd 0.739 0.107 0.500
Pd 0.596 0.305 0.000
Pd 0.404 0.695 0.000
Pd 0.305 0.404 0.500
Pd 0.695 0.596 0.500
O 0.403 0.196 0.258
O 0.597 0.804 0.742
O 0.597 0.804 0.258
O 0.196 0.597 0.758
O 0.403 0.196 0.742
O 0.804 0.403 0.242
O 0.804 0.403 0.758
O 0.196 0.597 0.242
O 0.000 0.000 0.250
O 0.000 0.000 0.750

(2)
! RbNdO2 r²SCAN optimized geometry; values from VASP
! Crystal system: trigonal
! Total energy in eV/atom: -16.644
! Symmetry: R-3m, No. 166
! Energy relative to the elements in meV/atom: -2820
&SYSTEM
  ibrav = 0, nat = 4, ntyp = 3
/
ATOMIC_SPECIES
Rb 85.47 Rb.upf
Nd 144.24 Nd.upf
O 16.00 O.upf
CELL_PARAMETERS angstrom
6.640 -1.822 -0.002
6.640 1.822 -0.002
6.140 0.000 3.114
ATOMIC_POSITIONS crystal
Rb 0.000 0.000 0.000
Nd 0.500 0.500 0.500
O 0.773 0.773 0.773
O 0.227 0.227 0.227

(3)
! Nd3RuO7 r²SCAN optimized geometry; values from VASP
! Crystal system: orthorhombic
! Total energy in eV/atom: -17.089
! Symmetry: Cmcm, No. 63
! Energy relative to the elements in meV/atom: -2954
&SYSTEM
  ibrav = 0, nat = 22, ntyp = 3
/
ATOMIC_SPECIES
Nd 144.24 Nd.upf
Ru 101.07 Ru.upf
O 16.00 O.upf
CELL_PARAMETERS angstrom
3.684 -5.484 0.000
3.684 5.484 0.000
0.000 0.000 7.529
ATOMIC_POSITIONS crystal
Nd 0.467 0.908 0.750
Nd 0.533 0.092 0.250
Nd 0.908 0.467 0.750
Nd 0.092 0.533 0.250
Nd 0.000 0.000 0.500
Nd 0.000 0.000 0.000
Ru 0.500 0.500 0.500
Ru 0.500 0.500 0.000
O 0.583 0.583 0.750
O 0.417 0.417 0.250
O 0.839 0.101 0.750
O 0.161 0.899 0.250
O 0.101 0.839 0.750
O 0.899 0.161 0.250
O 0.441 0.191 0.958
O 0.559 0.809 0.458
O 0.191 0.441 0.958
O 0.809 0.559 0.458
O 0.441 0.191 0.542
O 0.559 0.809 0.042
O 0.809 0.559 0.042
O 0.191 0.441 0.542

(4)
! Nd2SO6 r²SCAN optimized geometry; values from VASP
! Crystal system: tetragonal
! Total energy in eV/atom: -14.268
! Symmetry: I-42m, No. 121
! Energy relative to the elements in meV/atom: -2856
&SYSTEM
  ibrav = 0, nat = 9, ntyp = 3
/
ATOMIC_SPECIES
Nd 144.24 Nd.upf
S 32.06 S.upf
O 16.00 O.upf
CELL_PARAMETERS angstrom
-4.150 0.000 0.000
0.000 -4.153 0.000
2.075 2.077 7.324
ATOMIC_POSITIONS crystal
Nd 0.827 0.327 0.654
Nd 0.173 0.673 0.346
S 0.500 0.000 0.000
O 0.239 0.739 0.882
O 0.643 0.143 0.882
O 0.357 0.261 0.118
O 0.761 0.857 0.118
O 0.750 0.750 0.500
O 0.250 0.250 0.500

(5)
! Nd3Sb5O12 r²SCAN optimized geometry; values from VASP
! Crystal system: cubic
! Total energy in eV/atom: -16.812
! Symmetry: I-43m, No. 217
! Energy relative to the elements in meV/atom: -2389
&SYSTEM
  ibrav = 0, nat = 40, ntyp = 3
/
ATOMIC_SPECIES
Nd 144.24 Nd.upf
Sb 121.76 Sb.upf
O 16.00 O.upf
CELL_PARAMETERS angstrom
-5.507 5.506 5.507
5.506 -5.506 5.506
5.507 5.506 -5.506
ATOMIC_POSITIONS crystal
Nd 0.750 0.250 0.500
Nd 0.750 0.500 0.250
Nd 0.250 0.500 0.750
Nd 0.500 0.750 0.250
Nd 0.500 0.250 0.750
Nd 0.250 0.750 0.500
Sb 0.000 0.508 0.000
Sb 0.508 0.000 0.000
Sb 0.000 0.000 0.508
Sb 0.492 0.492 0.492
Sb 0.000 0.721 0.721
Sb 0.000 0.279 0.279
Sb 0.279 0.279 0.000
Sb 0.721 0.721 0.000
Sb 0.721 0.000 0.721
Sb 0.279 0.000 0.279
O 0.804 0.804 0.276
O 0.529 0.724 0.529
O 0.724 0.529 0.529
O 0.000 0.471 0.196
O 0.471 0.000 0.196
O 0.196 0.471 0.000
O 0.471 0.196 0.000
O 0.196 0.000 0.471
O 0.804 0.276 0.804
O 0.276 0.804 0.804
O 0.000 0.196 0.471
O 0.529 0.529 0.724
O 0.292 0.292 0.804
O 0.488 0.196 0.488
O 0.196 0.488 0.488
O 0.000 0.512 0.708
O 0.488 0.488 0.196
O 0.000 0.708 0.512
O 0.804 0.292 0.292
O 0.292 0.804 0.292
O 0.708 0.000 0.512
O 0.512 0.708 0.000
O 0.708 0.512 0.000
O 0.512 0.000 0.708

(6)
! Nd4Se3O4 r²SCAN optimized geometry; values from VASP
! Crystal system: orthorhombic
! Total energy in eV/atom: -19.825
! Symmetry: Amm2, No. 38
! Energy relative to the elements in meV/atom: -3053
&SYSTEM
  ibrav = 0, nat = 11, ntyp = 3
/
ATOMIC_SPECIES
Nd 144.24 Nd.upf
Se 78.96 Se.upf
O 16.00 O.upf
CELL_PARAMETERS angstrom
4.017 0.000 0.000
-2.008 6.479 0.000
0.000 0.000 8.466
ATOMIC_POSITIONS crystal
Nd 0.683 0.367 0.238
Nd 0.683 0.367 0.762
Nd 0.001 0.003 0.000
Nd 0.017 0.034 0.500
Se 0.355 0.710 0.352
Se 0.315 0.629 0.000
Se 0.355 0.710 0.648
O 0.088 0.176 0.756
O 0.589 0.178 0.000
O 0.615 0.230 0.500
O 0.088 0.176 0.244

(7)
! Nd2Se3O9 r²SCAN optimized geometry; values from VASP
! Crystal system: orthorhombic
! Total energy in eV/atom: -13.132
! Symmetry: Pnma, No. 62
! Energy relative to the elements in meV/atom: -2024
&SYSTEM
  ibrav = 0, nat = 56, ntyp = 3
/
ATOMIC_SPECIES
Nd 144.24 Nd.upf
Se 78.96 Se.upf
O 16.00 O.upf
CELL_PARAMETERS angstrom
-5.072 -0.587 -4.752
3.938 -6.520 -3.398
-7.032 -8.719 8.582
ATOMIC_POSITIONS crystal
Nd 0.318 0.299 0.063
Nd 0.682 0.701 0.937
Nd 0.818 0.201 0.937
Nd 0.682 0.701 0.563
Nd 0.182 0.799 0.063
Nd 0.318 0.299 0.437
Nd 0.182 0.799 0.437
Nd 0.818 0.201 0.563
Se 0.093 0.040 0.250
Se 0.907 0.960 0.750
Se 0.593 0.460 0.750
Se 0.407 0.540 0.250
Se 0.321 0.049 0.626
Se 0.679 0.951 0.374
Se 0.821 0.451 0.374
Se 0.679 0.951 0.126
Se 0.179 0.549 0.626
Se 0.321 0.049 0.874
Se 0.179 0.549 0.874
Se 0.821 0.451 0.126
O 0.430 0.337 0.250
O 0.570 0.663 0.750
O 0.930 0.163 0.750
O 0.070 0.837 0.250
O 0.467 0.207 0.598
O 0.533 0.793 0.402
O 0.967 0.293 0.402
O 0.533 0.793 0.098
O 0.033 0.707 0.598
O 0.467 0.207 0.902
O 0.033 0.707 0.902
O 0.967 0.293 0.098
O 0.586 0.116 0.073
O 0.414 0.884 0.927
O 0.086 0.384 0.927
O 0.414 0.884 0.573
O 0.914 0.616 0.073
O 0.586 0.116 0.427
O 0.914 0.616 0.427
O 0.086 0.384 0.573
O 0.242 0.053 0.154
O 0.758 0.947 0.846
O 0.742 0.447 0.846
O 0.758 0.947 0.654
O 0.258 0.553 0.154
O 0.242 0.053 0.346
O 0.258 0.553 0.346
O 0.742 0.447 0.654
O 0.146 0.075 0.541
O 0.854 0.925 0.459
O 0.646 0.425 0.459
O 0.854 0.925 0.041
O 0.354 0.575 0.541
O 0.146 0.075 0.959
O 0.354 0.575 0.959
O 0.646 0.425 0.041

(8)
! Nd2SeO2 r²SCAN optimized geometry; values from VASP
! Crystal system: trigonal
! Total energy in eV/atom: -20.351
! Symmetry: P-3m1, No. 164
! Energy relative to the elements in meV/atom: -3333
&SYSTEM
  ibrav = 0, nat = 5, ntyp = 3
/
ATOMIC_SPECIES
Nd 144.24 Nd.upf
Se 78.96 Se.upf
O 16.00 O.upf
CELL_PARAMETERS angstrom
4.001 0.000 0.000
-2.000 3.465 0.000
0.000 0.000 7.038
ATOMIC_POSITIONS crystal
Nd 0.667 0.333 0.712
Nd 0.333 0.667 0.288
Se 0.000 0.000 0.000
O 0.667 0.333 0.374
O 0.333 0.667 0.626

(9)
! Nd2SiO5 r²SCAN optimized geometry; values from VASP
! Crystal system: monoclinic
! Total energy in eV/atom: -15.770
! Symmetry: P2_1/c, No. 14
! Energy relative to the elements in meV/atom: -3586
&SYSTEM
  ibrav = 0, nat = 32, ntyp = 3
/
ATOMIC_SPECIES
Nd 144.24 Nd.upf
Si 28.09 Si.upf
O 16.00 O.upf
CELL_PARAMETERS angstrom
7.325 0.000 0.000
0.000 6.882 -0.010
0.000 2.917 8.779
ATOMIC_POSITIONS crystal
Nd 0.625 0.234 0.979
Nd 0.125 0.266 0.021
Nd 0.653 0.093 0.610
Nd 0.847 0.593 0.610
Nd 0.153 0.407 0.390
Nd 0.347 0.907 0.390
Nd 0.875 0.734 0.979
Nd 0.375 0.766 0.021
Si 0.081 0.044 0.701
Si 0.581 0.456 0.299
Si 0.419 0.544 0.701
Si 0.919 0.956 0.299
O 0.571 0.365 0.706
O 0.365 0.494 0.882
O 0.377 0.047 0.116
O 0.865 0.006 0.118
O 0.254 0.057 0.592
O 0.746 0.943 0.408
O 0.039 0.748 0.366
O 0.135 0.994 0.882
O 0.461 0.248 0.366
O 0.623 0.953 0.884
O 0.071 0.135 0.294
O 0.123 0.547 0.116
O 0.754 0.443 0.408
O 0.539 0.752 0.634
O 0.961 0.252 0.634
O 0.929 0.865 0.706
O 0.635 0.506 0.118
O 0.877 0.453 0.884
O 0.429 0.635 0.294
O 0.246 0.557 0.592

(10)
! NdTaO4 r²SCAN optimized geometry; values from VASP
! Crystal system: monoclinic
! Total energy in eV/atom: -20.494
! Symmetry: C2/c, No. 15
! Energy relative to the elements in meV/atom: -3511
&SYSTEM
  ibrav = 0, nat = 12, ntyp = 3
/
ATOMIC_SPECIES
Nd 144.24 Nd.upf
Ta 180.95 Ta.upf
O 16.00 O.upf
CELL_PARAMETERS angstrom
4.819 0.003 -1.764
-1.333 4.940 -2.081
-0.002 0.005 6.686
ATOMIC_POSITIONS crystal
Nd 0.382 0.632 0.264
Nd 0.618 0.368 0.736
Ta 0.849 0.099 0.198
Ta 0.151 0.901 0.802
O 0.998 0.796 0.063
O 0.565 0.267 0.063
O 0.002 0.204 0.937
O 0.435 0.733 0.937
O 0.196 0.357 0.413
O 0.716 0.056 0.413
O 0.804 0.643 0.587
O 0.284 0.944 0.587

(11)
! Nd3TaO7 r²SCAN optimized geometry; values from VASP
! Crystal system: orthorhombic
! Total energy in eV/atom: -19.855
! Symmetry: Cmcm, No. 63
! Energy relative to the elements in meV/atom: -3614
&SYSTEM
  ibrav = 0, nat = 22, ntyp = 3
/
ATOMIC_SPECIES
Nd 144.24 Nd.upf
Ta 180.95 Ta.upf
O 16.00 O.upf
CELL_PARAMETERS angstrom
3.820 -5.434 0.000
3.820 5.434 0.000
0.000 0.000 7.699
ATOMIC_POSITIONS crystal
Nd 0.500 0.500 0.500
Nd 0.500 0.500 0.000
Nd 0.999 0.536 0.250
Nd 0.001 0.464 0.750
Nd 0.536 0.999 0.750
Nd 0.464 0.001 0.250
Ta 0.000 0.000 0.500
Ta 0.000 0.000 0.000
O 0.943 0.057 0.750
O 0.057 0.943 0.250
O 0.365 0.635 0.250
O 0.635 0.365 0.750
O 0.371 0.629 0.750
O 0.629 0.371 0.250
O 0.313 0.069 0.970
O 0.687 0.931 0.470
O 0.313 0.069 0.530
O 0.687 0.931 0.030
O 0.069 0.313 0.470
O 0.931 0.687 0.970
O 0.931 0.687 0.530
O 0.069 0.313 0.030

(12)
! NdTaO4 r²SCAN optimized geometry; values from VASP
! Crystal system: monoclinic
! Total energy in eV/atom: -20.482
! Symmetry: P2_1/c, No. 14
! Energy relative to the elements in meV/atom: -3499
&SYSTEM
  ibrav = 0, nat = 24, ntyp = 3
/
ATOMIC_SPECIES
Nd 144.24 Nd.upf
Ta 180.95 Ta.upf
O 16.00 O.upf
CELL_PARAMETERS angstrom
-5.226 -0.127 -1.672
-0.177 -7.530 1.126
-2.347 -0.188 7.351
ATOMIC_POSITIONS crystal
Nd 0.223 0.349 0.899
Nd 0.723 0.651 0.601
Nd 0.777 0.651 0.101
Nd 0.277 0.349 0.399
Ta 0.731 0.165 0.694
Ta 0.231 0.835 0.806
Ta 0.269 0.835 0.306
Ta 0.769 0.165 0.194
O 0.509 0.332 0.130
O 0.009 0.668 0.370
O 0.491 0.668 0.870
O 0.991 0.332 0.630
O 0.986 0.384 0.170
O 0.486 0.616 0.330
O 0.014 0.616 0.830
O 0.514 0.384 0.670
O 0.851 0.167 0.944
O 0.351 0.833 0.556
O 0.149 0.833 0.056
O 0.649 0.167 0.444
O 0.408 0.059 0.799
O 0.908 0.941 0.701
O 0.592 0.941 0.201
O 0.092 0.059 0.299

(13)
! NdTaO4 r²SCAN optimized geometry; values from VASP
! Crystal system: monoclinic
! Total energy in eV/atom: -20.497
! Symmetry: P2/c, No. 13
! Energy relative to the elements in meV/atom: -3514
&SYSTEM
  ibrav = 0, nat = 12, ntyp = 3
/
ATOMIC_SPECIES
Nd 144.24 Nd.upf
Ta 180.95 Ta.upf
O 16.00 O.upf
CELL_PARAMETERS angstrom
5.248 0.004 0.000
-0.636 5.403 0.000
0.000 0.000 5.605
ATOMIC_POSITIONS crystal
Nd 0.000 0.750 0.764
Nd 0.000 0.250 0.236
Ta 0.500 0.250 0.688
Ta 0.500 0.750 0.312
O 0.725 0.010 0.561
O 0.275 0.490 0.561
O 0.275 0.990 0.439
O 0.725 0.510 0.439
O 0.257 0.610 0.092
O 0.743 0.890 0.092
O 0.743 0.390 0.908
O 0.257 0.110 0.908

(14)
! Nd3TaO7 r²SCAN optimized geometry; values from VASP
! Crystal system: orthorhombic
! Total energy in eV/atom: -19.853
! Symmetry: Cmcm, No. 63
! Energy relative to the elements in meV/atom: -3612
&SYSTEM
  ibrav = 0, nat = 22, ntyp = 3
/
ATOMIC_SPECIES
Nd 144.24 Nd.upf
Ta 180.95 Ta.upf
O 16.00 O.upf
CELL_PARAMETERS angstrom
3.750 -5.483 0.000
3.750 5.483 0.000
0.000 0.000 7.675
ATOMIC_POSITIONS crystal
Nd 0.000 0.000 0.500
Nd 0.000 0.000 0.000
Nd 0.522 0.069 0.250
Nd 0.931 0.478 0.750
Nd 0.478 0.931 0.750
Nd 0.069 0.522 0.250
Ta 0.500 0.500 0.500
Ta 0.500 0.500 0.000
O 0.431 0.431 0.250
O 0.569 0.569 0.750
O 0.439 0.186 0.535
O 0.814 0.561 0.465
O 0.439 0.186 0.965
O 0.814 0.561 0.035
O 0.561 0.814 0.465
O 0.186 0.439 0.535
O 0.561 0.814 0.035
O 0.186 0.439 0.965
O 0.154 0.892 0.250
O 0.108 0.846 0.750
O 0.846 0.108 0.750
O 0.892 0.154 0.250